(1)
MgSiO3: optimized geometry, PBE.

```
MgSiO3
1.0
18.689 0.000 0.000
0.000 8.965 0.000
-0.481 0.000 5.257
Mg Si O
16 16 48
direct
0.000 0.098 0.000 Mg
0.000 0.902 0.500 Mg
0.003 0.260 0.505 Mg
0.003 0.740 0.005 Mg
0.246 0.238 0.302 Mg
0.246 0.762 0.802 Mg
0.248 0.402 0.808 Mg
0.248 0.598 0.308 Mg
0.498 0.259 0.249 Mg
0.498 0.741 0.749 Mg
0.499 0.100 0.747 Mg
0.499 0.900 0.247 Mg
0.751 0.245 0.882 Mg
0.751 0.400 0.380 Mg
0.751 0.600 0.880 Mg
0.751 0.755 0.382 Mg
0.098 0.413 0.097 Si
0.098 0.587 0.597 Si
0.150 0.086 0.712 Si
0.150 0.914 0.212 Si
0.351 0.090 0.039 Si
0.351 0.910 0.539 Si
0.394 0.410 0.515 Si
0.394 0.590 0.015 Si
0.603 0.411 0.994 Si
0.603 0.589 0.494 Si
0.648 0.090 0.460 Si
0.648 0.910 0.960 Si
0.854 0.091 0.288 Si
0.854 0.909 0.788 Si
0.898 0.411 0.762 Si
0.898 0.589 0.262 Si
0.057 0.269 0.192 O
0.057 0.731 0.692 O
0.062 0.089 0.687 O
0.062 0.911 0.187 O
0.073 0.446 0.786 O
0.073 0.554 0.286 O
0.176 0.054 0.024 O
0.176 0.946 0.524 O
0.186 0.410 0.122 O
0.186 0.590 0.622 O
0.191 0.231 0.616 O
0.191 0.769 0.116 O
0.306 0.408 0.494 O
0.306 0.592 0.994 O
0.311 0.248 0.009 O
0.311 0.752 0.509 O
0.321 0.030 0.312 O
0.321 0.970 0.812 O
0.422 0.469 0.240 O
0.422 0.531 0.740 O
0.437 0.255 0.548 O
0.437 0.745 0.048 O
0.439 0.090 0.059 O
0.439 0.910 0.559 O
0.559 0.259 0.949 O
0.559 0.741 0.449 O
0.560 0.093 0.436 O
0.560 0.907 0.936 O
0.576 0.463 0.275 O
0.576 0.537 0.775 O
0.675 0.036 0.182 O
0.675 0.964 0.682 O
0.690 0.241 0.549 O
0.690 0.759 0.049 O
0.691 0.409 0.025 O
0.691 0.591 0.525 O
0.811 0.411 0.733 O
0.811 0.589 0.233 O
0.813 0.246 0.213 O
0.813 0.754 0.713 O
0.825 0.026 0.554 O
0.825 0.974 0.054 O
0.928 0.468 0.486 O
0.928 0.532 0.986 O
0.938 0.253 0.797 O
0.938 0.747 0.297 O
0.942 0.092 0.315 O
0.942 0.908 0.815 O
```

Calculated values
SG: Pc, No. 7
VASP energy (eV/atom): -7.19

=====

(2)
Mg2SiO4: optimized geometry, PBE.

```
Mg2SiO4
1.0
-2.926 5.797 4.476
2.926 -5.797 4.476
2.926 5.797 -4.476
Mg Si O
8 4 16
direct
0.000 0.000 0.000 Mg
0.306 0.556 0.750 Mg
0.368 0.000 0.868 Mg
0.368 0.500 0.368 Mg
0.500 0.000 0.500 Mg
0.632 0.000 0.132 Mg
0.632 0.500 0.632 Mg
0.694 0.444 0.250 Mg
0.016 0.626 0.390 Si
0.264 0.374 0.890 Si
0.736 0.626 0.110 Si
0.984 0.374 0.610 Si
0.061 0.311 0.750 O
0.112 0.279 0.398 O
0.112 0.713 0.832 O
0.235 0.244 0.991 O
0.246 0.756 0.491 O
0.381 0.279 0.668 O
0.381 0.713 0.102 O
0.486 0.236 0.250 O
0.514 0.764 0.750 O
0.619 0.287 0.898 O
0.619 0.721 0.332 O
0.754 0.244 0.509 O
0.765 0.756 0.009 O
0.888 0.287 0.168 O
0.888 0.721 0.602 O
0.939 0.689 0.250 O
```

Calculated values
SG: Imma, No. 74
VASP energy (eV/atom): -6.55
Distance to the lowest polymorph of the same formula (meV per atom): 343

=====

(3)
MgSiO3: optimized geometry, PBE.

```
MgSiO3
1.0
4.939 0.000 0.000
0.000 8.846 0.000
0.000 0.000 9.672
Mg Si O
8 8 24
direct
0.197 0.165 0.000 Mg
0.198 0.165 0.257 Mg
0.302 0.665 0.757 Mg
0.303 0.665 0.500 Mg
0.697 0.335 0.000 Mg
0.698 0.335 0.257 Mg
0.802 0.835 0.757 Mg
0.803 0.835 0.500 Mg
0.083 0.359 0.761 Si
0.085 0.359 0.496 Si
0.415 0.859 0.996 Si
0.417 0.859 0.261 Si
0.583 0.141 0.761 Si
0.585 0.141 0.496 Si
0.915 0.641 0.996 Si
0.917 0.641 0.261 Si
0.001 0.500 0.378 O
0.020 0.724 0.628 O
0.121 0.789 0.913 O
0.124 0.788 0.343 O
0.144 0.653 0.128 O
0.224 0.955 0.128 O
0.276 0.455 0.628 O
0.356 0.153 0.628 O
0.376 0.288 0.843 O
0.379 0.289 0.413 O
0.480 0.224 0.128 O
0.499 0.000 0.878 O
0.501 0.000 0.378 O
0.520 0.776 0.628 O
0.621 0.711 0.913 O
0.624 0.712 0.343 O
0.644 0.847 0.128 O
0.724 0.545 0.128 O
0.776 0.045 0.628 O
0.856 0.347 0.628 O
0.876 0.212 0.843 O
0.879 0.211 0.413 O
0.980 0.276 0.128 O
0.999 0.500 0.878 O
```

Calculated values
SG: Pna2_1, No. 33
VASP energy (eV/atom): -6.76

=====

(4)
Mg3Si2O9: optimized geometry, PBE.

```
Mg3Si2O9
1.0
4.697 -2.703 0.000
4.697 2.703 0.000
0.000 0.000 15.006
Mg Si O
6 4 18
direct
0.135 0.865 0.500 Mg
0.222 0.422 0.998 Mg
0.422 0.222 0.498 Mg
0.578 0.778 0.998 Mg
0.778 0.578 0.498 Mg
0.865 0.135 0.000 Mg
0.116 0.551 0.310 Si
0.449 0.884 0.310 Si
0.551 0.116 0.810 Si
0.884 0.449 0.810 Si
0.085 0.223 0.559 O
0.113 0.552 0.420 O
0.218 0.286 0.775 O
0.221 0.779 0.948 O
0.223 0.085 0.059 O
0.280 0.720 0.276 O
0.286 0.218 0.275 O
0.448 0.887 0.420 O
0.475 0.525 0.559 O
0.525 0.475 0.059 O
0.552 0.113 0.920 O
0.714 0.782 0.775 O
0.720 0.280 0.776 O
0.777 0.915 0.559 O
0.779 0.221 0.448 O
0.782 0.714 0.275 O
0.887 0.448 0.920 O
0.915 0.777 0.059 O
```

Calculated values
SG: Cmc2_1, No. 36
VASP energy (eV/atom): -6.31
Distance to the lowest polymorph of the same formula (meV per atom): 12

=====

(5)
Mg2SiO4: optimized geometry, PBE.

```
Mg2SiO4
1.0
-2.882 5.780 4.178
2.882 -5.780 4.178
2.882 5.780 -4.178
Mg Si O
8 4 16
direct
0.000 0.000 0.000 Mg
0.122 0.000 0.622 Mg
0.122 0.500 0.122 Mg
0.280 0.030 0.250 Mg
0.500 0.000 0.500 Mg
0.720 0.970 0.750 Mg
0.878 0.000 0.378 Mg
0.878 0.500 0.878 Mg
0.236 0.616 0.620 Si
0.497 0.616 0.880 Si
0.503 0.384 0.120 Si
0.764 0.384 0.380 Si
0.034 0.784 0.250 O
0.130 0.269 0.384 O
0.130 0.746 0.861 O
0.255 0.744 0.510 O
0.266 0.256 0.010 O
0.385 0.269 0.639 O
0.385 0.746 0.116 O
0.466 0.716 0.750 O
0.534 0.284 0.250 O
0.615 0.254 0.884 O
0.615 0.731 0.361 O
0.734 0.744 0.990 O
0.745 0.256 0.490 O
0.870 0.254 0.139 O
0.870 0.731 0.616 O
0.966 0.216 0.750 O
```

Calculated values
SG: Imma, No. 74
VASP energy (eV/atom): -6.84
Distance to the lowest polymorph of the same formula (meV per atom): 50

=====

(6)
Mg17Si20O60: optimized geometry, PBE.

```
Mg17Si20O60
1.0
2.681 -22.872 0.000
2.681 22.872 0.000
-0.002 0.000 9.511
Mg Si O
17 20 60
direct
0.000 0.000 0.000 Mg
0.070 0.930 0.000 Mg
0.094 0.906 0.500 Mg
0.160 0.840 0.500 Mg
0.234 0.766 0.500 Mg
0.302 0.698 0.500 Mg
0.373 0.627 0.500 Mg
0.397 0.603 0.000 Mg
0.463 0.537 0.000 Mg
0.537 0.463 0.000 Mg
0.603 0.397 0.000 Mg
0.627 0.373 0.500 Mg
0.698 0.302 0.500 Mg
0.766 0.234 0.500 Mg
0.840 0.160 0.500 Mg
0.906 0.094 0.500 Mg
0.930 0.070 0.000 Mg
0.040 0.301 0.207 Si
0.107 0.573 0.789 Si
0.140 0.207 0.284 Si
0.162 0.493 0.785 Si
0.207 0.140 0.284 Si
0.262 0.397 0.706 Si
0.301 0.040 0.207 Si
0.397 0.262 0.706 Si
0.427 0.893 0.211 Si
0.493 0.162 0.785 Si
0.507 0.838 0.215 Si
0.573 0.107 0.789 Si
0.603 0.738 0.294 Si
0.699 0.960 0.793 Si
0.738 0.603 0.294 Si
0.793 0.860 0.716 Si
0.838 0.507 0.215 Si
0.860 0.793 0.716 Si
0.893 0.427 0.211 Si
0.960 0.699 0.793 Si
0.010 0.114 0.650 O
0.042 0.298 0.379 O
0.054 0.660 0.588 O
0.077 0.778 0.158 O
0.086 0.286 0.121 O
0.108 0.574 0.616 O
0.114 0.010 0.650 O
0.127 0.196 0.113 O
0.143 0.540 0.843 O
0.153 0.153 0.343 O
0.159 0.659 0.154 O
0.177 0.504 0.614 O
0.196 0.127 0.113 O
0.217 0.413 0.619 O
0.222 0.923 0.842 O
0.259 0.399 0.879 O
0.286 0.086 0.121 O
0.290 0.582 0.151 O
0.298 0.042 0.379 O
0.340 0.946 0.412 O
0.341 0.841 0.846 O
0.356 0.356 0.911 O
0.382 0.478 0.344 O
0.399 0.259 0.879 O
0.413 0.217 0.619 O
0.418 0.710 0.849 O
0.426 0.892 0.384 O
0.460 0.857 0.157 O
0.478 0.382 0.344 O
0.496 0.823 0.386 O
0.504 0.177 0.614 O
0.522 0.618 0.656 O
0.540 0.143 0.843 O
0.574 0.108 0.616 O
0.582 0.290 0.151 O
0.587 0.783 0.381 O
0.601 0.741 0.121 O
0.618 0.522 0.656 O
0.644 0.644 0.089 O
0.659 0.159 0.154 O
0.660 0.054 0.588 O
0.702 0.958 0.621 O
0.710 0.418 0.849 O
0.714 0.914 0.879 O
0.741 0.601 0.121 O
0.778 0.077 0.158 O
0.783 0.587 0.381 O
0.804 0.873 0.887 O
0.823 0.496 0.386 O
0.841 0.341 0.846 O
0.847 0.847 0.657 O
0.857 0.460 0.157 O
0.873 0.804 0.887 O
0.886 0.990 0.350 O
0.892 0.426 0.384 O
0.914 0.714 0.879 O
0.923 0.222 0.842 O
0.946 0.340 0.412 O
0.958 0.702 0.621 O
0.990 0.886 0.350 O
```

Calculated values
SG: C2/m, No. 12
VASP energy (eV/atom): -7.11
Distance to the lowest polymorph of the same formula (meV per atom): 0

=====

(7)
Mg2SiO4: optimized geometry, PBE.

```
Mg2SiO4
1.0
-1.750 1.750 5.367
1.750 -1.750 5.367
1.750 1.750 -5.367
Mg Si O
2 1 4
direct
0.150 0.150 0.000 Mg
0.850 0.850 0.000 Mg
0.500 0.500 0.000 Si
0.000 0.500 0.500 O
0.333 0.333 0.000 O
0.500 0.000 0.500 O
0.667 0.667 0.000 O
```

Calculated values
SG: I4/mmm, No. 139
VASP energy (eV/atom): -6.51
Distance to the lowest polymorph of the same formula (meV per atom): 380

=====

(8)
Mg3Si2O9: optimized geometry, PBE.

```
Mg3Si2O9
1.0
2.709 -4.682 0.000
2.709 4.682 0.000
-0.801 0.000 14.916
Mg Si O
6 4 18
direct
0.022 0.978 0.500 Mg
0.334 0.735 0.002 Mg
0.378 0.621 0.501 Mg
0.621 0.378 0.001 Mg
0.735 0.334 0.502 Mg
0.978 0.022 0.000 Mg
0.016 0.286 0.310 Si
0.286 0.016 0.810 Si
0.619 0.683 0.810 Si
0.683 0.619 0.310 Si
0.033 0.301 0.421 O
0.080 0.680 0.561 O
0.293 0.387 0.061 O
0.301 0.033 0.921 O
0.345 0.443 0.275 O
0.372 0.970 0.449 O
0.387 0.293 0.561 O
0.443 0.345 0.775 O
0.452 0.849 0.775 O
0.634 0.700 0.921 O
0.680 0.080 0.061 O
0.695 0.986 0.562 O
0.700 0.634 0.421 O
0.840 0.948 0.275 O
0.849 0.452 0.275 O
0.948 0.840 0.775 O
0.970 0.372 0.949 O
0.986 0.695 0.062 O
```

Calculated values
SG: Cc, No. 9
VASP energy (eV/atom): -6.31
Distance to the lowest polymorph of the same formula (meV per atom): 13